[1]
VASP calculation (meta-GGA r2SCAN) on a geometry-optimized Li8ScFe7Si16O48 structure.

Unit cell a=7.2620 b=9.4151 c=13.0509 alpha=102.77 beta=95.32 gamma=102.16
Sites, in units of the cell vectors:
Li: 0.0000 0.0000 0.0000
Li: 0.0000 0.4923 0.7459
Li: 0.0028 0.4976 0.2468
Li: 0.0048 0.9959 0.4948
Li: 0.4996 0.4980 0.4956
Li: 0.5020 0.9980 0.2465
Li: 0.5032 0.4975 0.9951
Li: 0.5067 0.0008 0.7461
Sc: 0.1778 0.8222 0.8208
Fe: 0.1796 0.8204 0.3199
Fe: 0.3268 0.1734 0.4227
Fe: 0.3285 0.1773 0.9240
Fe: 0.6791 0.3215 0.8194
Fe: 0.6799 0.3208 0.3196
Fe: 0.8234 0.6724 0.9234
Fe: 0.8264 0.6737 0.4223
Si: 0.0800 0.4380 0.4747
Si: 0.0814 0.4400 0.9756
Si: 0.2409 0.7790 0.0660
Si: 0.2441 0.7777 0.5614
Si: 0.2654 0.2138 0.6768
Si: 0.2665 0.2174 0.1782
Si: 0.4245 0.5519 0.7658
Si: 0.4255 0.5566 0.2675
Si: 0.5828 0.9378 0.4727
Si: 0.5832 0.9407 0.9761
Si: 0.7408 0.2770 0.5638
Si: 0.7430 0.2788 0.0649
Si: 0.7605 0.7155 0.6775
Si: 0.7642 0.7168 0.1780
Si: 0.9250 0.0579 0.7676
Si: 0.9266 0.0562 0.2668
O: 0.0473 0.1461 0.6927
O: 0.0488 0.1465 0.1928
O: 0.0751 0.0291 0.8579
O: 0.0770 0.0236 0.3552
O: 0.0899 0.8076 0.9761
O: 0.0949 0.8061 0.4701
O: 0.2083 0.5990 0.0503
O: 0.2086 0.5974 0.5477
O: 0.2265 0.8590 0.1859
O: 0.2289 0.8605 0.6802
O: 0.2305 0.3483 0.4264
O: 0.2342 0.3526 0.9275
O: 0.2727 0.6367 0.8158
O: 0.2734 0.6443 0.3158
O: 0.2827 0.1331 0.5571
O: 0.2848 0.1382 0.0583
O: 0.2983 0.3973 0.1933
O: 0.3006 0.3932 0.6897
O: 0.4118 0.1874 0.7702
O: 0.4132 0.1881 0.2700
O: 0.4311 0.9715 0.3856
O: 0.4374 0.9766 0.8877
O: 0.4570 0.8495 0.0482
O: 0.4619 0.8423 0.5440
O: 0.5429 0.6464 0.6926
O: 0.5468 0.6493 0.1947
O: 0.5762 0.5236 0.3556
O: 0.5767 0.5208 0.8543
O: 0.5935 0.3071 0.4725
O: 0.5954 0.3078 0.9732
O: 0.7090 0.0968 0.5480
O: 0.7136 0.0988 0.0503
O: 0.7236 0.3555 0.6839
O: 0.7248 0.3581 0.1846
O: 0.7317 0.8491 0.9276
O: 0.7355 0.8508 0.4243
O: 0.7735 0.1466 0.8147
O: 0.7755 0.1453 0.3151
O: 0.7775 0.6355 0.0578
O: 0.7799 0.6391 0.5573
O: 0.7974 0.8967 0.6957
O: 0.7991 0.8970 0.1924
O: 0.9043 0.6819 0.7682
O: 0.9124 0.6868 0.2688
O: 0.9292 0.4710 0.3866
O: 0.9297 0.4716 0.8874
O: 0.9584 0.3480 0.5490
O: 0.9604 0.3482 0.0491

Results
Its formation energy is -2683 meV per atom. As for the total magnetization: 35.00 μB per formula unit. Its calculated total energy is -9.664 eV per atom.



[2]
VASP calculation (meta-GGA r2SCAN) on a geometry-optimized Li2FeSiO4 structure.

Unit cell a=6.2663 b=7.2058 c=7.2050 alpha=85.85 beta=90.00 gamma=90.00
Sites, in units of the cell vectors:
O: 0.0000 0.9468 0.2300
O: 0.0000 0.5081 0.3601
O: 0.5000 0.5200 0.3033
O: 0.7143 0.1742 0.5139
O: 0.0000 0.4468 0.7300
O: 0.2857 0.6742 0.0139
O: 0.2143 0.2361 0.0758
O: 0.7857 0.2361 0.0758
O: 0.5000 0.3899 0.7420
O: 0.7857 0.7361 0.5758
O: 0.2857 0.1742 0.5139
O: 0.5000 0.8898 0.2420
O: 0.7143 0.6742 0.0139
O: 0.2143 0.7361 0.5758
O: 0.5000 0.0200 0.8033
O: 0.0000 0.0082 0.8600
Li: 0.7478 0.8620 0.8049
Li: 0.2522 0.3620 0.3049
Li: 0.7523 0.4451 0.8879
Li: 0.7478 0.3620 0.3049
Li: 0.2522 0.8620 0.8049
Li: 0.2477 0.9451 0.3879
Li: 0.7523 0.9451 0.3879
Li: 0.2477 0.4451 0.8879
Fe: 0.0000 0.1925 0.6266
Fe: 0.0000 0.6925 0.1266
Fe: 0.5000 0.6232 0.5576
Fe: 0.5000 0.1232 0.0577
Si: 0.5000 0.1920 0.6424
Si: 0.5000 0.6920 0.1424
Si: 0.0000 0.1077 0.0579
Si: 0.0000 0.6077 0.5579

Results
Its formation energy is -2403 meV per atom. As for the total magnetization: 0.00 μB per formula unit. Its calculated total energy is -8.884 eV per atom.



[3]
VASP calculation (meta-GGA r2SCAN) on a geometry-optimized LiFeSiO4 structure.

Unit cell a=18.4102 b=8.1610 c=5.4384 alpha=90.00 beta=90.00 gamma=90.00
Sites, in units of the cell vectors:
Li: 0.0830 0.0800 0.0000
Li: 0.0831 0.5796 0.4922
Li: 0.2500 0.4182 0.9963
Li: 0.2500 0.9182 0.4963
Li: 0.4169 0.0796 0.9922
Li: 0.4170 0.5800 0.5000
Li: 0.5830 0.4200 0.0000
Li: 0.5831 0.9204 0.4922
Li: 0.7500 0.0818 0.9963
Li: 0.7500 0.5818 0.4963
Li: 0.9169 0.4204 0.9922
Li: 0.9170 0.9200 0.5000
Fe: 0.0000 0.2500 0.4962
Fe: 0.0000 0.7500 0.9962
Fe: 0.1667 0.2495 0.4977
Fe: 0.1667 0.7496 0.9959
Fe: 0.3333 0.2496 0.4959
Fe: 0.3333 0.7495 0.9977
Fe: 0.5000 0.2500 0.4962
Fe: 0.5000 0.7500 0.9962
Fe: 0.6667 0.2505 0.4977
Fe: 0.6667 0.7504 0.9959
Fe: 0.8333 0.2504 0.4959
Fe: 0.8333 0.7505 0.9977
Si: 0.0834 0.4019 0.9965
Si: 0.0834 0.9018 0.4964
Si: 0.2500 0.0972 0.9969
Si: 0.2500 0.5972 0.4969
Si: 0.4166 0.4018 0.9964
Si: 0.4166 0.9019 0.4965
Si: 0.5834 0.0981 0.9965
Si: 0.5834 0.5982 0.4964
Si: 0.7500 0.4028 0.9969
Si: 0.7500 0.9028 0.4969
Si: 0.9166 0.0982 0.9964
Si: 0.9166 0.5981 0.4965
O: 0.0117 0.0148 0.4954
O: 0.0116 0.5148 0.9967
O: 0.0833 0.2754 0.2364
O: 0.0833 0.2749 0.7575
O: 0.0833 0.7753 0.2565
O: 0.0833 0.7748 0.7354
O: 0.1553 0.0142 0.4964
O: 0.1553 0.5143 0.9970
O: 0.1782 0.4847 0.4971
O: 0.1781 0.9849 0.9967
O: 0.2500 0.2242 0.2363
O: 0.2500 0.2243 0.7577
O: 0.2500 0.7243 0.2577
O: 0.2500 0.7242 0.7363
O: 0.3219 0.4849 0.4967
O: 0.3218 0.9847 0.9971
O: 0.3447 0.0143 0.4970
O: 0.3447 0.5142 0.9964
O: 0.4167 0.2748 0.2354
O: 0.4167 0.2753 0.7565
O: 0.4167 0.7749 0.2575
O: 0.4167 0.7754 0.7364
O: 0.4884 0.0148 0.4967
O: 0.4883 0.5148 0.9954
O: 0.5117 0.4852 0.4954
O: 0.5116 0.9852 0.9967
O: 0.5833 0.2246 0.2364
O: 0.5833 0.2251 0.7575
O: 0.5833 0.7247 0.2565
O: 0.5833 0.7252 0.7354
O: 0.6553 0.4858 0.4964
O: 0.6553 0.9857 0.9970
O: 0.6782 0.0153 0.4971
O: 0.6781 0.5151 0.9967
O: 0.7500 0.2758 0.2363
O: 0.7500 0.2757 0.7577
O: 0.7500 0.7757 0.2577
O: 0.7500 0.7758 0.7363
O: 0.8219 0.0151 0.4967
O: 0.8218 0.5153 0.9971
O: 0.8447 0.4857 0.4970
O: 0.8447 0.9858 0.9964
O: 0.9167 0.2252 0.2354
O: 0.9167 0.2247 0.7565
O: 0.9167 0.7251 0.2575
O: 0.9167 0.7246 0.7364
O: 0.9884 0.4852 0.4967
O: 0.9883 0.9852 0.9954

Results
Its formation energy is -2385 meV per atom. As for the total magnetization: 5.00 μB per formula unit. Its calculated total energy is -9.451 eV per atom.



[4]
VASP calculation (meta-GGA r2SCAN) on a geometry-optimized Li3Fe3TeO8 structure.

Unit cell a=5.9859 b=5.9859 c=5.9859 alpha=61.15 beta=61.15 gamma=61.15
Sites, in units of the cell vectors:
Li: 0.0000 0.5000 0.5000
Li: 0.5000 0.0000 0.5000
Li: 0.5000 0.5000 0.0000
Fe: 0.0000 0.0000 0.5000
Fe: 0.0000 0.5000 0.0000
Fe: 0.5000 0.0000 0.0000
Te: 0.5000 0.5000 0.5000
O: 0.2375 0.2375 0.2375
O: 0.2734 0.2734 0.7262
O: 0.2734 0.7262 0.2734
O: 0.2738 0.7266 0.7266
O: 0.7262 0.2734 0.2734
O: 0.7266 0.2738 0.7266
O: 0.7266 0.7266 0.2738
O: 0.7625 0.7625 0.7625

Results
Its formation energy is -1675 meV per atom. As for the total magnetization: 13.00 μB per formula unit. Its calculated total energy is -9.915 eV per atom.



[5]
VASP calculation (meta-GGA r2SCAN) on a geometry-optimized Li3VFe3O8 structure.

Unit cell a=5.8804 b=5.8804 c=5.8770 alpha=119.77 beta=119.77 gamma=59.46
Sites, in units of the cell vectors:
Li: 0.0000 0.0000 0.0000
Li: 0.0000 0.5000 0.0000
Li: 0.5000 0.0000 0.0000
V: 0.5000 0.5000 0.5000
Fe: 0.0000 0.0000 0.5000
Fe: 0.0000 0.5000 0.5000
Fe: 0.5000 0.0000 0.5000
O: 0.2342 0.2342 0.7186
O: 0.2517 0.7350 0.7213
O: 0.2603 0.2603 0.2683
O: 0.2650 0.7483 0.2787
O: 0.7350 0.2517 0.7213
O: 0.7397 0.7397 0.7317
O: 0.7483 0.2650 0.2787
O: 0.7658 0.7658 0.2814

Results
Its formation energy is -1981 meV per atom. As for the total magnetization: 15.98 μB per formula unit. Its calculated total energy is -9.465 eV per atom.



[6]
VASP calculation (meta-GGA r2SCAN) on a geometry-optimized LiFeP structure.

Unit cell a=3.6669 b=3.6669 c=5.8293 alpha=90.00 beta=90.00 gamma=90.00
Sites, in units of the cell vectors:
Li: 0.2500 0.2500 0.1545
Li: 0.7500 0.7500 0.8455
Fe: 0.2500 0.7500 0.5000
Fe: 0.7500 0.2500 0.5000
P: 0.2500 0.2500 0.7042
P: 0.7500 0.7500 0.2958

Results
Its formation energy is -546 meV per atom. As for the total magnetization: 0.04 μB per formula unit. Its calculated total energy is -9.147 eV per atom.



[7]
VASP calculation (meta-GGA r2SCAN) on a geometry-optimized Li2Fe12P7 structure.

Unit cell a=9.1399 b=9.1399 c=3.4370 alpha=90.00 beta=90.00 gamma=120.00
Sites, in units of the cell vectors:
Li: 0.0000 0.0000 0.0000
Li: 0.3333 0.6667 0.5000
Fe: 0.0680 0.7768 0.5000
Fe: 0.0908 0.3813 0.0000
Fe: 0.2232 0.2913 0.5000
Fe: 0.2905 0.9092 0.0000
Fe: 0.3938 0.2237 0.0000
Fe: 0.5387 0.1138 0.5000
Fe: 0.5751 0.4613 0.5000
Fe: 0.6187 0.7095 0.0000
Fe: 0.7087 0.9320 0.5000
Fe: 0.7763 0.1702 0.0000
Fe: 0.8298 0.6062 0.0000
Fe: 0.8862 0.4249 0.5000
P: 0.0840 0.6245 0.0000
P: 0.2500 0.0605 0.5000
P: 0.3755 0.4596 0.0000
P: 0.5404 0.9160 0.0000
P: 0.6667 0.3333 0.0000
P: 0.8105 0.7500 0.5000
P: 0.9395 0.1895 0.5000

Results
Its formation energy is -360 meV per atom. As for the total magnetization: 21.15 μB per formula unit. Its calculated total energy is -11.824 eV per atom.



[8]
VASP calculation (meta-GGA r2SCAN) on a geometry-optimized LiFeRh2 structure.

Unit cell a=5.8846 b=5.8846 c=5.8846 alpha=90.00 beta=90.00 gamma=90.00
Sites, in units of the cell vectors:
Li: 0.0000 0.0000 0.0000
Li: 0.0000 0.5000 0.5000
Li: 0.5000 0.0000 0.5000
Li: 0.5000 0.5000 0.0000
Fe: 0.0000 0.0000 0.5000
Fe: 0.0000 0.5000 0.0000
Fe: 0.5000 0.0000 0.0000
Fe: 0.5000 0.5000 0.5000
Rh: 0.2500 0.2500 0.2500
Rh: 0.2500 0.2500 0.7500
Rh: 0.2500 0.7500 0.2500
Rh: 0.2500 0.7500 0.7500
Rh: 0.7500 0.2500 0.2500
Rh: 0.7500 0.2500 0.7500
Rh: 0.7500 0.7500 0.2500
Rh: 0.7500 0.7500 0.7500

Results
Its formation energy is -191 meV per atom. As for the total magnetization: 4.48 μB per formula unit. Its calculated total energy is -16.459 eV per atom.